# Cu3I6O20, optimized geometry, DFT PBE
# Energy relative to the elements in eV per atom: -0.69
# Energy with MP2020 corrections in eV/atom: -4.85
# V in A^3/atom: 15.224
data_Cu3I6O20
_chemical_formula_sum 'Cu3 I6 O20'
_space_group_name_H-M_alt 'P -1'
_space_group_IT_number 2
_cell_length_a 7.262
_cell_length_b 7.782
_cell_length_c 8.174
_cell_angle_alpha 105.50
_cell_angle_beta 95.19
_cell_angle_gamma 93.63
loop_
_space_group_symop_operation_xyz
'x,y,z'
'-x,-y,-z'
loop_
_atom_site_label
_atom_site_fract_x
_atom_site_fract_y
_atom_site_fract_z
Cu1 0.000 0.000 0.000
Cu2 0.419 0.375 0.587
I1 0.143 0.600 0.853
I2 0.184 0.853 0.403
I3 0.396 0.124 0.863
O1 0.070 0.817 0.817
O2 0.081 0.530 0.182
O3 0.160 0.166 0.938
O4 0.194 0.081 0.548
O5 0.204 0.524 0.632
O6 0.250 0.897 0.206
O7 0.399 0.418 0.368
O8 0.416 0.812 0.495
O9 0.418 0.347 0.821
O10 0.470 0.810 0.927


# La2MgAl, optimized geometry, DFT PBE
# Energy relative to the elements in eV per atom: -0.25
# V in A^3/atom: 28.833
data_La2MgAl
_chemical_formula_sum 'La8 Mg4 Al4'
_space_group_name_H-M_alt 'F m -3 m'
_space_group_IT_number 225
_space_group_name_Hall '-F 4 2 3'
_cell_length_a 7.727
_cell_length_b 7.727
_cell_length_c 7.727
_cell_angle_alpha 90.00
_cell_angle_beta 90.00
_cell_angle_gamma 90.00
loop_
_atom_site_label
_atom_site_fract_x
_atom_site_fract_y
_atom_site_fract_z
La1 0.250 0.250 0.250
Mg1 0.000 0.000 0.000
Al1 0.000 0.000 0.500